Here is a relaxed structure of AlH36C12S6Cl3O6 from the Materials Project. Energies are from PBE-GGA. Values from VASP.

Properties
**Energy of formation**: -0.454 eV/atom
**DFT total energy**: -321.6 eV per formula unit
**Symmetry**: R-3 (148)
**Mass density**: 1377 kg/m3

Structure (Quantum ESPRESSO input):
```
&SYSTEM
  ibrav = 0, nat = 64, ntyp = 6
/
ATOMIC_SPECIES
Al 26.98 Al.upf
H 1.01 H.upf
C 12.01 C.upf
S 32.06 S.upf
Cl 35.45 Cl.upf
O 16.00 O.upf
CELL_PARAMETERS angstrom
5.2914 3.0550 7.4891
-5.2914 3.0550 7.4891
0.0000 -6.1100 7.4891
ATOMIC_POSITIONS crystal
Al 0.0000 0.0000 0.0000
H 0.0106 0.4695 0.6461
H 0.0240 0.8065 0.6465
H 0.0595 0.4992 0.8605
H 0.1119 0.3012 0.5651
H 0.1395 0.9405 0.5008
H 0.1935 0.3535 0.9760
H 0.2190 0.4282 0.5404
H 0.2292 0.7290 0.5462
H 0.2710 0.4538 0.7708
H 0.3012 0.5651 0.1119
H 0.3535 0.9760 0.1935
H 0.3539 0.9894 0.5305
H 0.4282 0.5404 0.2190
H 0.4349 0.8881 0.6988
H 0.4538 0.7708 0.2710
H 0.4596 0.7810 0.5718
H 0.4695 0.6461 0.0106
H 0.4992 0.8605 0.0595
H 0.5008 0.1395 0.9405
H 0.5305 0.3539 0.9894
H 0.5404 0.2190 0.4282
H 0.5462 0.2292 0.7290
H 0.5651 0.1119 0.3012
H 0.5718 0.4596 0.7810
H 0.6461 0.0106 0.4695
H 0.6465 0.0240 0.8065
H 0.6988 0.4349 0.8881
H 0.7290 0.5462 0.2292
H 0.7708 0.2710 0.4538
H 0.7810 0.5718 0.4596
H 0.8065 0.6465 0.0240
H 0.8605 0.0595 0.4992
H 0.8881 0.6988 0.4349
H 0.9405 0.5008 0.1395
H 0.9760 0.1935 0.3535
H 0.9894 0.5305 0.3539
C 0.1212 0.3771 0.6184
C 0.1411 0.8271 0.5926
C 0.1729 0.4074 0.8589
C 0.3771 0.6184 0.1212
C 0.3816 0.8788 0.6229
C 0.4074 0.8589 0.1729
C 0.5926 0.1411 0.8271
C 0.6184 0.1212 0.3771
C 0.6229 0.3816 0.8788
C 0.8271 0.5926 0.1411
C 0.8589 0.1729 0.4074
C 0.8788 0.6229 0.3816
S 0.1729 0.2565 0.7969
S 0.2031 0.8271 0.7435
S 0.2565 0.7969 0.1729
S 0.7435 0.2031 0.8271
S 0.7969 0.1729 0.2565
S 0.8271 0.7435 0.2031
Cl 0.2464 0.2464 0.2464
Cl 0.5000 0.5000 0.5000
Cl 0.7536 0.7536 0.7536
O 0.0216 0.2091 0.9128
O 0.0872 0.9784 0.7909
O 0.2091 0.9128 0.0216
O 0.7909 0.0872 0.9784
O 0.9128 0.0216 0.2091
O 0.9784 0.7909 0.0872
```